Entry 1:
An optimized crystal structure of CsSnSe3. Source: the Materials Project database, functional meta-GGA r2SCAN.

Cell lengths 7.161, 7.595, 8.107 Å; angles 97.89, 115.08, 107.57 degrees
Fractional coordinates of all 10 atoms:
Cs 0.228 0.191 0.856
Cs 0.772 0.809 0.144
Sn 0.221 0.510 0.427
Sn 0.779 0.490 0.573
Se 0.661 0.774 0.562
Se 0.185 0.611 0.123
Se 0.339 0.226 0.438
Se 0.225 0.698 0.717
Se 0.775 0.302 0.283
Se 0.815 0.389 0.877

Summary:
- Formation energy: -811.5 meV/atom
- Energy: -19.37 eV per atom
- Magnetization: 0.000 μB/f.u.

---

Entry 2:
An optimized crystal structure of EuMgCd2. Source: the Materials Project database, functional meta-GGA r2SCAN.

Cell lengths 5.219, 5.219, 5.219 Å; angles 60.00, 60.00, 60.00 degrees
Fractional coordinates of all 4 atoms:
Eu 0.500 0.500 0.500
Mg 0.000 0.000 0.000
Cd 0.750 0.750 0.750
Cd 0.250 0.250 0.250

Summary:
- Formation energy: -300.7 meV/atom
- Energy: -21.03 eV per atom
- Magnetization: 7.076 μB/f.u.

---

Entry 3:
An optimized crystal structure of Zr4C3N. Source: the Materials Project database, functional meta-GGA r2SCAN.

Cell lengths 10.979, 10.979, 10.979 Å; angles 17.36, 17.36, 17.36 degrees
Fractional coordinates of all 8 atoms:
Zr 0.875 0.875 0.875
Zr 0.125 0.125 0.125
Zr 0.376 0.376 0.376
Zr 0.624 0.624 0.624
C 0.252 0.252 0.252
C 0.500 0.500 0.500
C 0.748 0.748 0.748
N 0.000 0.000 0.000

Summary:
- Formation energy: -1297.5 meV/atom
- Energy: -17.54 eV per atom
- Magnetization: 0.000 μB/f.u.

---

Entry 4:
An optimized crystal structure of Nd5Ge3. Source: the Materials Project database, functional meta-GGA r2SCAN.

Cell lengths 8.826, 8.826, 6.743 Å; angles 90.00, 90.00, 120.00 degrees
Fractional coordinates of all 16 atoms:
Nd 0.000 0.755 0.750
Nd 0.000 0.245 0.250
Nd 0.755 0.755 0.250
Nd 0.755 0.000 0.750
Nd 0.245 0.245 0.750
Nd 0.245 0.000 0.250
Nd 0.333 0.667 0.500
Nd 0.667 0.333 0.000
Nd 0.667 0.333 0.500
Nd 0.333 0.667 0.000
Ge 0.392 0.000 0.750
Ge 0.392 0.392 0.250
Ge 0.000 0.608 0.250
Ge 0.000 0.392 0.750
Ge 0.608 0.608 0.750
Ge 0.608 0.000 0.250

Summary:
- Formation energy: -823.2 meV/atom
- Energy: -24.41 eV per atom
- Magnetization: 0.708 μB/f.u.

---

Entry 5:
An optimized crystal structure of Mn3Mo3C. Source: the Materials Project database, functional meta-GGA r2SCAN.

Cell lengths 8.006, 8.006, 8.006 Å; angles 60.00, 60.00, 60.00 degrees
Fractional coordinates of all 28 atoms:
Mn 0.125 0.125 0.625
Mn 0.252 0.916 0.916
Mn 0.916 0.252 0.916
Mn 0.334 0.334 0.334
Mn 0.334 0.998 0.334
Mn 0.334 0.334 0.998
Mn 0.998 0.334 0.334
Mn 0.916 0.916 0.916
Mn 0.125 0.625 0.125
Mn 0.625 0.125 0.125
Mn 0.125 0.125 0.125
Mn 0.916 0.916 0.252
Mo 0.562 0.562 0.938
Mo 0.938 0.938 0.562
Mo 0.688 0.688 0.312
Mo 0.312 0.688 0.688
Mo 0.688 0.312 0.312
Mo 0.312 0.312 0.688
Mo 0.562 0.938 0.562
Mo 0.312 0.688 0.312
Mo 0.938 0.562 0.938
Mo 0.938 0.562 0.562
Mo 0.688 0.312 0.688
Mo 0.562 0.938 0.938
C 0.625 0.625 0.125
C 0.125 0.625 0.625
C 0.625 0.125 0.625
C 0.625 0.625 0.625

Summary:
- Formation energy: -105.9 meV/atom
- Energy: -18.99 eV per atom
- Magnetization: 2.880 μB/f.u.

---

Entry 6:
An optimized crystal structure of BaTaS3. Source: the Materials Project database, functional meta-GGA r2SCAN.

Cell lengths 6.946, 6.946, 5.707 Å; angles 90.00, 90.00, 120.00 degrees
Fractional coordinates of all 10 atoms:
Ba 0.333 0.667 0.750
Ba 0.667 0.333 0.250
Ta 0.000 0.000 0.000
Ta 0.000 0.000 0.500
S 0.662 0.831 0.250
S 0.831 0.662 0.750
S 0.169 0.338 0.250
S 0.831 0.169 0.750
S 0.338 0.169 0.750
S 0.169 0.831 0.250

Summary:
- Formation energy: -1703.2 meV/atom
- Energy: -21.54 eV per atom
- Magnetization: 0.000 μB/f.u.

---

Entry 7:
An optimized crystal structure of LuBrO. Source: the Materials Project database, functional meta-GGA r2SCAN.

Cell lengths 3.726, 3.726, 8.746 Å; angles 90.00, 90.00, 90.00 degrees
Fractional coordinates of all 6 atoms:
Lu 0.750 0.750 0.376
Lu 0.250 0.250 0.624
Br 0.250 0.250 0.186
Br 0.750 0.750 0.814
O 0.750 0.250 0.500
O 0.250 0.750 0.500

Summary:
- Formation energy: -3277.0 meV/atom
- Energy: -22.38 eV per atom
- Magnetization: 0.000 μB/f.u.

---

Entry 8:
An optimized crystal structure of Nd3Dy. Source: the Materials Project database, functional meta-GGA r2SCAN.

Cell lengths 5.162, 5.162, 5.162 Å; angles 90.00, 90.00, 90.00 degrees
Fractional coordinates of all 4 atoms:
Nd 0.000 0.500 0.500
Nd 0.500 0.000 0.500
Nd 0.500 0.500 0.000
Dy 0.000 0.000 0.000

Summary:
- Energy above the most stable polymorph in this dataset: 5.4 meV/atom
- Formation energy: 31.3 meV/atom
- Energy: -30.03 eV per atom
- Magnetization: 0.000 μB/f.u.

---

Entry 9:
An optimized crystal structure of Tb2Pr. Source: the Materials Project database, functional meta-GGA r2SCAN.

Cell lengths 8.975, 8.975, 8.975 Å; angles 23.51, 23.51, 23.51 degrees
Fractional coordinates of all 3 atoms:
Tb 0.224 0.224 0.224
Tb 0.998 0.998 0.998
Pr 0.778 0.778 0.778

Summary:
- Formation energy: 27.6 meV/atom
- Energy: -30.59 eV per atom
- Magnetization: 0.001 μB/f.u.

---

Entry 10:
An optimized crystal structure of NaMnO2. Source: the Materials Project database, functional meta-GGA r2SCAN.

Cell lengths 3.159, 11.170, 5.136 Å; angles 75.76, 83.50, 80.34 degrees
Fractional coordinates of all 16 atoms:
Na 0.923 0.250 0.226
Na 0.424 0.250 0.726
Na 0.076 0.750 0.774
Na 0.576 0.750 0.274
Mn 0.250 0.500 0.251
Mn 0.500 0.000 0.499
Mn 0.750 0.500 0.751
Mn 0.000 0.000 0.999
O 0.367 0.398 0.991
O 0.867 0.398 0.491
O 0.632 0.603 0.010
O 0.132 0.602 0.510
O 0.486 0.898 0.862
O 0.985 0.897 0.362
O 0.515 0.102 0.137
O 0.015 0.103 0.637

Summary:
- Energy above the most stable polymorph in this dataset: 17.4 meV/atom
- Formation energy: -2089.8 meV/atom
- Energy: -9.64 eV per atom
- Magnetization: 4.000 μB/f.u.